(1)
The following is a GGA-PBE calculation of GdRh2 after structural relaxation, from Materials Project.

## Properties
Its space-group type is Fd-3m, No. 227. The raw total energy is -10.322 eV/atom. For the energy of formation from the pure elements, the calculation gives -720 meV per atom.

Lattice parameters (Å, degrees): 5.3723 5.3723 5.3723 60.00 60.00 60.00
Positions (direct):
Rh 0.3750 0.8750 0.3750
Rh 0.8750 0.3750 0.3750
Rh 0.3750 0.3750 0.8750
Rh 0.3750 0.3750 0.3750
Gd 0.0000 0.0000 0.0000
Gd 0.7500 0.7500 0.7500


(2)
The following is a GGA-PBE calculation of Ho4Pt after structural relaxation, from Materials Project.

## Properties
Its space-group type is Fd-3m, No. 227. The raw total energy is -4.912 eV/atom. For the energy of formation from the pure elements, the calculation gives -32 meV per atom.

Lattice parameters (Å, degrees): 7.7339 7.7339 7.7339 60.00 60.00 60.00
Positions (direct):
Ho 0.6103 0.6103 0.6103
Ho 0.5808 0.1397 0.1397
Ho 0.1397 0.1397 0.1397
Ho 0.1397 0.5808 0.1397
Ho 0.6103 0.1692 0.6103
Ho 0.1692 0.6103 0.6103
Ho 0.6103 0.6103 0.1692
Ho 0.1397 0.1397 0.5808
Pt 0.7500 0.7500 0.7500
Pt 0.0000 0.0000 0.0000


(3)
The following is a GGA-PBE calculation of Na6Cu9P8O32 after structural relaxation, from Materials Project.

## Properties
Its space-group type is P-1, No. 2. The raw total energy is -6.184 eV/atom. For the energy of formation from the pure elements, the calculation gives -2103 meV per atom.

Lattice parameters (Å, degrees): 8.9247 9.0914 9.4450 112.84 100.27 102.94
Positions (direct):
O 0.4485 0.0993 0.7287
O 0.0097 0.6612 0.9998
O 0.7201 0.1776 0.6679
O 0.6159 0.4182 0.4188
O 0.8491 0.4693 0.2962
O 0.4422 0.1267 0.4344
O 0.1937 0.2044 0.0720
O 0.2799 0.8224 0.3321
O 0.5515 0.9007 0.2713
O 0.0967 0.7385 0.5409
O 0.9033 0.2615 0.4591
O 0.9275 0.1181 0.1820
O 0.2749 0.4582 0.0137
O 0.6018 0.2385 0.1237
O 0.0725 0.8819 0.8180
O 0.8756 0.9449 0.3335
O 0.8013 0.5169 0.7245
O 0.9903 0.3388 0.0002
O 0.6949 0.0555 0.8643
O 0.3841 0.5818 0.5812
O 0.4124 0.4598 0.7752
O 0.1244 0.0551 0.6665
O 0.5876 0.5402 0.2248
O 0.1476 0.1664 0.4233
O 0.3051 0.9445 0.1357
O 0.5578 0.8733 0.5656
O 0.1509 0.5307 0.7038
O 0.1987 0.4831 0.2755
O 0.8524 0.8336 0.5767
O 0.7251 0.5418 0.9863
O 0.8063 0.7956 0.9280
O 0.3982 0.7615 0.8763
P 0.3404 0.5816 0.7318
P 0.0358 0.8785 0.6485
P 0.6044 0.0576 0.7103
P 0.1675 0.3755 0.0925
P 0.8325 0.6245 0.9075
P 0.6596 0.4184 0.2682
P 0.3956 0.9424 0.2897
P 0.9642 0.1215 0.3515
Cu 0.5000 0.5000 0.0000
Cu 0.3411 0.6999 0.4472
Cu 0.2867 0.1133 0.5676
Cu 0.0000 0.0000 0.0000
Cu 0.8034 0.2717 0.0618
Cu 0.7133 0.8867 0.4324
Cu 0.1966 0.7283 0.9382
Cu 0.0000 0.5000 0.5000
Cu 0.6589 0.3001 0.5528
Na 0.6479 0.9322 0.0637
Na 0.3312 0.3103 0.3495
Na 0.0068 0.2972 0.7420
Na 0.3521 0.0678 0.9363
Na 0.6688 0.6898 0.6505
Na 0.9932 0.7028 0.2580